## one
Sn3Te | PBE | relaxed Values from VASP.

Calculated values
Crystal system: tetragonal
Volume: 29.2 Å³ per atom
Total moment: 0.00 μB per atom

```
&SYSTEM
  ibrav = 0, nat = 4, ntyp = 2
/
ATOMIC_SPECIES
Sn 118.71 Sn.upf
Te 127.60 Te.upf
ATOMIC_POSITIONS crystal
Sn 0.0000 0.0000 0.0000
Sn 0.2500 0.7500 0.5000
Sn 0.7500 0.2500 0.5000
Te 0.5000 0.5000 0.0000
CELL_PARAMETERS angstrom
-2.3009 2.3009 5.5165
2.3009 -2.3009 5.5165
2.3009 2.3009 -5.5165
```



## two
Sn3Te | PBE | relaxed Values from VASP.

Calculated values
Crystal system: cubic
Volume: 28.8 Å³ per atom
Total moment: 0.00 μB per atom

```
&SYSTEM
  ibrav = 0, nat = 4, ntyp = 2
/
ATOMIC_SPECIES
Sn 118.71 Sn.upf
Te 127.60 Te.upf
ATOMIC_POSITIONS crystal
Sn 0.0000 0.0000 0.5000
Sn 0.0000 0.5000 0.0000
Sn 0.5000 0.0000 0.0000
Te 0.5000 0.5000 0.5000
CELL_PARAMETERS angstrom
4.8656 0.0000 0.0000
0.0000 4.8656 0.0000
0.0000 0.0000 4.8656
```



The winner here is one, beating the second structure by 28 meV per atom.



## one
K3Ti | PBE | relaxed Values from VASP.

Calculated values
Crystal system: hexagonal
Volume: 51.7 Å³ per atom
Total moment: 0.80 μB per atom

```
&SYSTEM
  ibrav = 0, nat = 8, ntyp = 2
/
ATOMIC_SPECIES
K 39.10 K.upf
Ti 47.87 Ti.upf
ATOMIC_POSITIONS crystal
K 0.1756 0.3512 0.2500
K 0.1756 0.8244 0.2500
K 0.3512 0.1756 0.7500
K 0.6488 0.8244 0.2500
K 0.8244 0.1756 0.7500
K 0.8244 0.6488 0.7500
Ti 0.3333 0.6667 0.7500
Ti 0.6667 0.3333 0.2500
CELL_PARAMETERS angstrom
8.3814 0.0000 0.0000
-4.1907 7.2585 0.0000
0.0000 0.0000 6.7952
```



## two
K3Ti | PBE | relaxed Values from VASP.

Calculated values
Crystal system: tetragonal
Volume: 51.7 Å³ per atom
Total moment: 0.86 μB per atom

```
&SYSTEM
  ibrav = 0, nat = 4, ntyp = 2
/
ATOMIC_SPECIES
K 39.10 K.upf
Ti 47.87 Ti.upf
ATOMIC_POSITIONS crystal
K 0.0000 0.0000 0.0000
K 0.2500 0.7500 0.5000
K 0.7500 0.2500 0.5000
Ti 0.5000 0.5000 0.0000
CELL_PARAMETERS angstrom
-2.9888 2.9888 5.7915
2.9888 -2.9888 5.7915
2.9888 2.9888 -5.7915
```



The winner here is one, beating the second structure by 7 meV per atom.